Record 1
The following is a DFT calculation (PBE-GGA) of a geometry-optimized Ag2BiO3 structure.

Output
The calculated formation energy is -0.92 eV per atom. The calculation puts the excess energy over the best structure of this formula in the dataset at 1 meV/atom. For the uncorrected energy, the calculation gives -4.64 eV per atom. The calculation puts the magnetization at 0.0000 μB/atom. The crystal system is monoclinic.

Cell and atoms, written as CIF:
```
data_Ag2BiO3
_space_group_name_H-M_alt 'P 1 c 1'
_space_group_IT_number 7
_cell_length_a 6.124
_cell_length_b 6.359
_cell_length_c 11.385
_cell_angle_alpha 90.00
_cell_angle_beta 120.76
_cell_angle_gamma 90.00
loop_
_space_group_symop_operation_xyz
'x,y,z'
'x,-y,z+1/2'
loop_
_atom_site_label
_atom_site_type_symbol
_atom_site_fract_x
_atom_site_fract_y
_atom_site_fract_z
Ag1 Ag 0.000 0.002 0.000
Ag2 Ag 0.049 0.496 0.491
Ag3 Ag 0.517 0.260 0.750
Ag4 Ag 0.997 0.262 0.733
Bi1 Bi 0.369 0.237 0.352
Bi2 Bi 0.666 0.249 0.144
O1 O 0.013 0.420 0.181
O2 O 0.394 0.063 0.178
O3 O 0.430 0.499 0.011
O4 O 0.614 0.053 0.976
O5 O 0.655 0.419 0.314
O6 O 0.989 0.050 0.295
```



Record 2
The following is a DFT calculation (PBE-GGA) of a geometry-optimized Ag2BiO3 structure.

Output
The calculated formation energy is -0.92 eV per atom. The calculation puts the excess energy over the best structure of this formula in the dataset at 4 meV/atom. For the uncorrected energy, the calculation gives -4.64 eV per atom. The calculation puts the magnetization at 0.0000 μB/atom. The crystal system is orthorhombic.

Cell and atoms, written as CIF:
```
data_Ag2BiO3
_space_group_name_H-M_alt 'P n n a'
_space_group_IT_number 52
_cell_length_a 6.135
_cell_length_b 6.332
_cell_length_c 9.849
_cell_angle_alpha 90.00
_cell_angle_beta 90.00
_cell_angle_gamma 90.00
loop_
_space_group_symop_operation_xyz
'x,y,z'
'-x,-y,-z'
'-x+1/2,-y,z'
'x+1/2,y,-z'
'x,-y+1/2,-z+1/2'
'-x,y+1/2,z+1/2'
'-x+1/2,y+1/2,-z+1/2'
'x+1/2,-y+1/2,z+1/2'
loop_
_atom_site_label
_atom_site_type_symbol
_atom_site_fract_x
_atom_site_fract_y
_atom_site_fract_z
Ag1 Ag 0.000 0.000 0.000
Ag2 Ag 0.222 0.250 0.250
Bi1 Bi 0.250 0.000 0.604
O1 O 0.065 0.683 0.062
O2 O 0.145 0.750 0.750
```



Record 3
The following is a DFT calculation (PBE-GGA) of a geometry-optimized Ag2BiO3 structure.

Output
The calculated formation energy is -0.92 eV per atom. The piezoelectric modulus e_max comes out at 1.4 C/m². The calculation puts the excess energy over the best structure of this formula in the dataset at 0 meV/atom. For the uncorrected energy, the calculation gives -4.64 eV per atom. The crystal system is orthorhombic.

Cell and atoms, written as CIF:
```
data_Ag2BiO3
_space_group_name_H-M_alt 'P n n 2'
_space_group_IT_number 34
_cell_length_a 6.160
_cell_length_b 6.350
_cell_length_c 9.768
_cell_angle_alpha 90.00
_cell_angle_beta 90.00
_cell_angle_gamma 90.00
loop_
_space_group_symop_operation_xyz
'x,y,z'
'-x,-y,z'
'-x+1/2,y+1/2,z+1/2'
'x+1/2,-y+1/2,z+1/2'
loop_
_atom_site_label
_atom_site_type_symbol
_atom_site_fract_x
_atom_site_fract_y
_atom_site_fract_z
Ag1 Ag 0.029 0.248 0.000
Ag2 Ag 0.247 0.500 0.744
Bi1 Bi 0.000 0.000 0.645
Bi2 Bi 0.000 0.500 0.352
O1 O 0.109 0.777 0.493
O2 O 0.177 0.816 0.806
O3 O 0.195 0.681 0.181
```



Record 4
The following is a DFT calculation (PBE-GGA) of a geometry-optimized ZnAgBiO5 structure.

Output
The calculated formation energy is -1.01 eV per atom. The calculation puts the excess energy over the best structure of this formula in the dataset at 0 meV/atom. For the uncorrected energy, the calculation gives -4.68 eV per atom. The calculation puts the magnetization at 0.0000 μB/atom. The crystal system is monoclinic.

Cell and atoms, written as CIF:
```
data_ZnAgBiO5
_space_group_name_H-M_alt 'P 1 21/c 1'
_space_group_IT_number 14
_cell_length_a 5.474
_cell_length_b 10.662
_cell_length_c 9.119
_cell_angle_alpha 90.00
_cell_angle_beta 115.86
_cell_angle_gamma 90.00
loop_
_space_group_symop_operation_xyz
'x,y,z'
'-x,-y,-z'
'-x,y+1/2,-z+1/2'
'x,-y+1/2,z+1/2'
loop_
_atom_site_label
_atom_site_type_symbol
_atom_site_fract_x
_atom_site_fract_y
_atom_site_fract_z
Zn1 Zn 0.095 0.081 0.166
Ag1 Ag 0.214 0.618 0.021
Bi1 Bi 0.484 0.113 0.858
O1 O 0.134 0.031 0.647
O2 O 0.193 0.704 0.428
O3 O 0.254 0.046 0.987
O4 O 0.308 0.564 0.776
O5 O 0.419 0.191 0.310
```



Record 5
The following is a DFT calculation (PBE-GGA) of a geometry-optimized ZnAgBiO5 structure.

Output
The calculated formation energy is -0.98 eV per atom. The calculation puts the excess energy over the best structure of this formula in the dataset at 38 meV/atom. For the uncorrected energy, the calculation gives -4.64 eV per atom. The calculation puts the magnetization at 0.0969 μB/atom. The crystal system is orthorhombic.

Cell and atoms, written as CIF:
```
data_ZnAgBiO5
_space_group_name_H-M_alt 'P b c a'
_space_group_IT_number 61
_cell_length_a 5.336
_cell_length_b 15.443
_cell_length_c 10.330
_cell_angle_alpha 90.00
_cell_angle_beta 90.00
_cell_angle_gamma 90.00
loop_
_space_group_symop_operation_xyz
'x,y,z'
'-x,-y,-z'
'-x+1/2,-y,z+1/2'
'x+1/2,y,-z+1/2'
'x+1/2,-y+1/2,-z'
'-x+1/2,y+1/2,z'
'-x,y+1/2,-z+1/2'
'x,-y+1/2,z+1/2'
loop_
_atom_site_label
_atom_site_type_symbol
_atom_site_fract_x
_atom_site_fract_y
_atom_site_fract_z
Zn1 Zn 0.050 0.059 0.129
Ag1 Ag 0.029 0.581 0.885
Bi1 Bi 0.039 0.245 0.356
O1 O 0.123 0.673 0.310
O2 O 0.146 0.510 0.219
O3 O 0.213 0.172 0.699
O4 O 0.215 0.671 0.000
O5 O 0.230 0.505 0.476
```



Record 6
The following is a DFT calculation (PBE-GGA) of a geometry-optimized AgBiTe3Pb structure.

Output
The calculated formation energy is -0.20 eV per atom. For the uncorrected energy, the calculation gives -3.51 eV per atom. The calculation puts the magnetization at 0.0003 μB/atom. The crystal system is orthorhombic.

Cell and atoms, written as CIF:
```
data_AgBiTe3Pb
_space_group_name_H-M_alt 'I m m 2'
_space_group_IT_number 44
_cell_length_a 4.485
_cell_length_b 6.377
_cell_length_c 13.403
_cell_angle_alpha 90.00
_cell_angle_beta 90.00
_cell_angle_gamma 90.00
loop_
_space_group_symop_operation_xyz
'x,y,z'
'-x,-y,z'
'-x,y,z'
'x,-y,z'
'x+1/2,y+1/2,z+1/2'
'-x+1/2,-y+1/2,z+1/2'
'-x+1/2,y+1/2,z+1/2'
'x+1/2,-y+1/2,z+1/2'
loop_
_atom_site_label
_atom_site_type_symbol
_atom_site_fract_x
_atom_site_fract_y
_atom_site_fract_z
Ag1 Ag 0.000 0.000 0.000
Bi1 Bi 0.000 0.000 0.671
Te1 Te 0.000 0.500 0.007
Te2 Te 0.000 0.500 0.341
Te3 Te 0.000 0.500 0.654
Pb1 Pb 0.000 0.000 0.327
```



Record 7
The following is a DFT calculation (PBE-GGA) of a geometry-optimized AgBi3S5 structure.

Output
The calculated formation energy is -0.58 eV per atom. For the uncorrected energy, the calculation gives -4.21 eV per atom. The crystal system is monoclinic.

Cell and atoms, written as CIF:
```
data_AgBi3S5
_space_group_name_H-M_alt 'C 1 2/m 1'
_space_group_IT_number 12
_cell_length_a 13.659
_cell_length_b 4.061
_cell_length_c 16.697
_cell_angle_alpha 90.00
_cell_angle_beta 95.51
_cell_angle_gamma 90.00
loop_
_space_group_symop_operation_xyz
'x,y,z'
'-x,-y,-z'
'-x,y,-z'
'x,-y,z'
'x+1/2,y+1/2,z'
'-x+1/2,-y+1/2,-z'
'-x+1/2,y+1/2,-z'
'x+1/2,-y+1/2,z'
loop_
_atom_site_label
_atom_site_type_symbol
_atom_site_fract_x
_atom_site_fract_y
_atom_site_fract_z
Ag1 Ag 0.000 0.000 0.000
Ag2 Ag 0.000 0.500 0.500
Bi1 Bi 0.026 0.000 0.283
Bi2 Bi 0.220 0.500 0.894
Bi3 Bi 0.237 0.000 0.609
S1 S 0.076 0.000 0.864
S2 S 0.089 0.500 0.641
S3 S 0.146 0.000 0.442
S4 S 0.151 0.500 0.035
S5 S 0.154 0.500 0.244
```



Record 8
The following is a DFT calculation (PBE-GGA) of a geometry-optimized AgBiS2 structure.

Output
The calculated formation energy is -0.39 eV per atom. For the uncorrected energy, the calculation gives -3.88 eV per atom. The calculation puts the magnetization at 0.0000 μB/atom. The crystal system is tetragonal.

Cell and atoms, written as CIF:
```
data_AgBiS2
_space_group_name_H-M_alt 'P 4/m m m'
_space_group_IT_number 123
_space_group_name_Hall '-P 4 2'
_cell_length_a 4.035
_cell_length_b 4.035
_cell_length_c 5.557
_cell_angle_alpha 90.00
_cell_angle_beta 90.00
_cell_angle_gamma 90.00
loop_
_atom_site_label
_atom_site_type_symbol
_atom_site_fract_x
_atom_site_fract_y
_atom_site_fract_z
Ag1 Ag 0.000 0.000 0.000
Bi1 Bi 0.500 0.500 0.500
S1 S 0.000 0.000 0.500
S2 S 0.500 0.500 0.000
```